# 1
Below is a relaxed NaMg6W crystal, with properties calculated at the PBE-GGA level.

abc: 6.220 6.220 4.392
angles: 90.00 90.00 90.00
Atoms (fractional coordinates):
1 Na 0.000 0.000 0.000
2 Mg 0.000 0.500 0.000
3 Mg 0.272 0.272 0.500
4 Mg 0.272 0.728 0.500
5 Mg 0.500 0.000 0.000
6 Mg 0.728 0.272 0.500
7 Mg 0.728 0.728 0.500
8 W 0.500 0.500 0.000

Output
Relative energy among the computed polymorphs ... 0.0 kJ/mol of atoms
DFT formation energy ... 0.30 eV per atom
Total energy ... -2.686 eV per atom

***

# 2
Below is a relaxed ReC5O5 crystal, with properties calculated at the PBE-GGA level.

abc: 9.896 9.896 15.211
angles: 123.76 123.76 43.75
Atoms (fractional coordinates):
1 Re 0.163 0.696 0.777
2 Re 0.304 0.837 0.723
3 Re 0.696 0.163 0.277
4 Re 0.837 0.304 0.223
5 C 0.016 0.036 0.653
6 C 0.036 0.016 0.153
7 C 0.036 0.268 0.371
8 C 0.079 0.595 0.800
9 C 0.268 0.036 0.871
10 C 0.315 0.630 0.579
11 C 0.370 0.685 0.921
12 C 0.377 0.417 0.708
13 C 0.405 0.921 0.700
14 C 0.417 0.377 0.208
15 C 0.583 0.623 0.792
16 C 0.595 0.079 0.300
17 C 0.623 0.583 0.292
18 C 0.630 0.315 0.079
19 C 0.685 0.370 0.421
20 C 0.732 0.964 0.129
21 C 0.921 0.405 0.200
22 C 0.964 0.732 0.629
23 C 0.964 0.984 0.847
24 C 0.984 0.964 0.347
25 O 0.028 0.533 0.812
26 O 0.147 0.850 0.108
27 O 0.150 0.853 0.392
28 O 0.151 0.247 0.457
29 O 0.247 0.151 0.957
30 O 0.255 0.503 0.170
31 O 0.315 0.513 0.494
32 O 0.467 0.972 0.688
33 O 0.487 0.685 0.006
34 O 0.497 0.745 0.330
35 O 0.503 0.255 0.670
36 O 0.513 0.315 0.994
37 O 0.533 0.028 0.312
38 O 0.685 0.487 0.506
39 O 0.745 0.497 0.830
40 O 0.753 0.849 0.043
41 O 0.849 0.753 0.543
42 O 0.850 0.147 0.608
43 O 0.853 0.150 0.892
44 O 0.972 0.467 0.188

Output
DFT formation energy ... -1.03 eV per atom
Total energy ... -8.292 eV per atom

***

# 3
Below is a relaxed NdBr3O6 crystal, with properties calculated at the PBE-GGA level.

abc: 5.917 6.462 11.533
angles: 90.00 107.46 90.00
Atoms (fractional coordinates):
1 Nd 0.000 0.178 0.250
2 Nd 0.000 0.822 0.750
3 Br 0.194 0.296 0.952
4 Br 0.194 0.704 0.452
5 Br 0.500 0.412 0.750
6 Br 0.500 0.588 0.250
7 Br 0.806 0.296 0.548
8 Br 0.806 0.704 0.048
9 O 0.085 0.208 0.067
10 O 0.085 0.792 0.567
11 O 0.243 0.089 0.863
12 O 0.243 0.911 0.363
13 O 0.315 0.430 0.306
14 O 0.315 0.570 0.806
15 O 0.685 0.430 0.194
16 O 0.685 0.570 0.694
17 O 0.757 0.089 0.637
18 O 0.757 0.911 0.137
19 O 0.915 0.208 0.433
20 O 0.915 0.792 0.933

Output
DFT formation energy ... -1.04 eV per atom
Total energy ... -4.560 eV per atom

***

# 4
Below is a relaxed CdH2S2O8 crystal, with properties calculated at the PBE-GGA level.

abc: 5.447 13.691 8.708
angles: 90.00 92.40 90.00
Atoms (fractional coordinates):
1 Cd 0.222 0.046 0.255
2 Cd 0.222 0.454 0.755
3 Cd 0.778 0.546 0.245
4 Cd 0.778 0.954 0.745
5 H 0.097 0.223 0.803
6 H 0.097 0.277 0.303
7 H 0.430 0.746 0.427
8 H 0.430 0.754 0.927
9 H 0.570 0.246 0.073
10 H 0.570 0.254 0.573
11 H 0.903 0.723 0.697
12 H 0.903 0.777 0.197
13 S 0.253 0.642 0.056
14 S 0.253 0.858 0.556
15 S 0.297 0.094 0.875
16 S 0.297 0.406 0.375
17 S 0.703 0.594 0.625
18 S 0.703 0.906 0.125
19 S 0.747 0.142 0.444
20 S 0.747 0.358 0.944
21 O 0.022 0.664 0.134
22 O 0.022 0.836 0.634
23 O 0.153 0.004 0.851
24 O 0.153 0.496 0.351
25 O 0.195 0.171 0.754
26 O 0.195 0.329 0.254
27 O 0.238 0.548 0.979
28 O 0.238 0.952 0.479
29 O 0.263 0.726 0.931
30 O 0.263 0.774 0.431
31 O 0.273 0.138 0.028
32 O 0.273 0.362 0.528
33 O 0.444 0.579 0.661
34 O 0.444 0.921 0.161
35 O 0.473 0.654 0.158
36 O 0.473 0.846 0.658
37 O 0.527 0.154 0.342
38 O 0.527 0.346 0.842
39 O 0.556 0.079 0.839
40 O 0.556 0.421 0.339
41 O 0.727 0.638 0.472
42 O 0.727 0.862 0.972
43 O 0.737 0.226 0.569
44 O 0.737 0.274 0.069
45 O 0.762 0.048 0.521
46 O 0.762 0.452 0.021
47 O 0.805 0.671 0.746
48 O 0.805 0.829 0.246
49 O 0.847 0.504 0.649
50 O 0.847 0.996 0.149
51 O 0.978 0.164 0.366
52 O 0.978 0.336 0.866

Output
DFT formation energy ... -1.67 eV per atom
Total energy ... -5.521 eV per atom

***

# 5
Below is a relaxed CdHg4Te5 crystal, with properties calculated at the PBE-GGA level.

abc: 11.611 11.611 11.611
angles: 158.44 149.59 37.59
Atoms (fractional coordinates):
1 Cd 0.000 0.000 0.000
2 Hg 0.201 0.201 0.000
3 Hg 0.400 0.400 0.000
4 Hg 0.600 0.600 0.000
5 Hg 0.799 0.799 0.000
6 Te 0.098 0.598 0.500
7 Te 0.301 0.801 0.500
8 Te 0.500 0.000 0.500
9 Te 0.699 0.199 0.500
10 Te 0.902 0.402 0.500

Output
DFT formation energy ... -0.26 eV per atom
Total energy ... -1.837 eV per atom

***

# 6
Below is a relaxed Ce3Th3O11 crystal, with properties calculated at the PBE-GGA level.

abc: 6.874 3.933 9.676
angles: 90.00 90.04 90.00
Atoms (fractional coordinates):
1 Ce 0.000 0.000 0.000
2 Ce 0.183 0.500 0.350
3 Ce 0.528 0.500 0.006
4 Th 0.345 0.000 0.678
5 Th 0.675 0.000 0.334
6 Th 0.846 0.500 0.671
7 O 0.010 0.000 0.751
8 O 0.033 0.000 0.239
9 O 0.180 0.500 0.593
10 O 0.327 0.000 0.941
11 O 0.351 0.000 0.430
12 O 0.496 0.500 0.248
13 O 0.516 0.500 0.761
14 O 0.679 0.000 0.589
15 O 0.681 0.000 0.088
16 O 0.842 0.500 0.417
17 O 0.862 0.500 0.928

Output
DFT formation energy ... -4.12 eV per atom
Total energy ... -9.233 eV per atom

***

# 7
Below is a relaxed GdCo9Si4 crystal, with properties calculated at the PBE-GGA level.

abc: 7.905 7.905 7.905
angles: 121.62 121.62 87.21
Atoms (fractional coordinates):
1 Gd 0.250 0.250 0.000
2 Gd 0.750 0.750 0.000
3 Co 0.000 0.500 0.500
4 Co 0.052 0.552 0.242
5 Co 0.070 0.801 0.870
6 Co 0.190 0.948 0.500
7 Co 0.199 0.070 0.269
8 Co 0.301 0.570 0.870
9 Co 0.310 0.810 0.758
10 Co 0.430 0.301 0.731
11 Co 0.448 0.690 0.500
12 Co 0.500 0.000 0.500
13 Co 0.552 0.310 0.500
14 Co 0.570 0.699 0.269
15 Co 0.690 0.190 0.242
16 Co 0.699 0.430 0.130
17 Co 0.801 0.930 0.731
18 Co 0.810 0.052 0.500
19 Co 0.930 0.199 0.130
20 Co 0.948 0.448 0.758
21 Si 0.048 0.209 0.500
22 Si 0.209 0.709 0.161
23 Si 0.291 0.452 0.500
24 Si 0.452 0.952 0.161
25 Si 0.548 0.048 0.839
26 Si 0.709 0.548 0.500
27 Si 0.791 0.291 0.839
28 Si 0.952 0.791 0.500

Output
Relative energy among the computed polymorphs ... 0.0 kJ/mol of atoms
DFT formation energy ... -0.47 eV per atom
Total energy ... -7.611 eV per atom

***

# 8
Below is a relaxed MgSi2 crystal, with properties calculated at the PBE-GGA level.

abc: 5.165 5.665 7.689
angles: 84.14 85.36 64.82
Atoms (fractional coordinates):
1 Mg 0.000 0.000 0.000
2 Mg 0.071 0.462 0.851
3 Mg 0.246 0.254 0.505
4 Mg 0.903 0.561 0.217
5 Si 0.231 0.769 0.616
6 Si 0.322 0.745 0.297
7 Si 0.443 0.122 0.159
8 Si 0.513 0.518 0.002
9 Si 0.545 0.937 0.849
10 Si 0.664 0.307 0.702
11 Si 0.734 0.722 0.561
12 Si 0.817 0.087 0.399

Output
Relative energy among the computed polymorphs ... 16.1 kJ/mol of atoms
DFT formation energy ... 0.24 eV per atom
Total energy ... -3.953 eV per atom

***

# 9
Below is a relaxed Al2CuIr crystal, with properties calculated at the PBE-GGA level.

abc: 4.802 4.802 5.248
angles: 90.00 90.00 115.77
Atoms (fractional coordinates):
1 Al 0.250 0.250 0.500
2 Al 0.250 0.750 0.830
3 Al 0.750 0.250 0.170
4 Al 0.750 0.750 0.500
5 Cu 0.250 0.250 0.000
6 Cu 0.750 0.750 0.000
7 Ir 0.250 0.750 0.321
8 Ir 0.750 0.250 0.679

Output
DFT formation energy ... -0.67 eV per atom
Total energy ... -5.780 eV per atom